The following is a GGA-PBE calculation of Er2Co12P7 after structural relaxation, from the Materials Project database.

Values from the calculation:
formation energy: -0.81 eV per atom
calculated volume: 11.93 A^3/atom

Geometry as extended XYZ:
```
21
Lattice="8.992 0.000 0.000 -4.496 7.787 0.000 0.000 0.000 3.577" Properties=species:S:1:pos:R:3 pbc="T T T"
Er 0.000 0.000 0.000
Er 0.000 5.191 1.788
Co -3.013 5.988 1.788
Co -0.858 3.065 0.000
Co 0.817 2.184 1.788
Co -1.412 6.998 0.000
Co 2.576 1.668 0.000
Co 4.364 0.773 1.788
Co 2.983 3.621 1.788
Co 2.270 5.511 0.000
Co 2.196 7.403 1.788
Co 6.259 1.397 0.000
Co 4.653 4.722 0.000
Co 6.140 3.393 1.788
P -2.156 4.882 0.000
P 2.180 0.328 1.788
P 1.346 3.479 0.000
P 0.810 7.213 0.000
P 4.496 2.596 0.000
P 3.690 5.735 1.788
P 7.617 1.724 1.788
```

---

The following is a GGA-PBE calculation of Ba4Bi3 after structural relaxation, from the Materials Project database.

Values from the calculation:
formation energy: -0.91 eV per atom
calculated volume: 44.31 A^3/atom

Geometry as extended XYZ:
```
14
Lattice="-5.373 5.373 5.373 5.373 -5.373 5.373 5.373 5.373 -5.373" Properties=species:S:1:pos:R:3 pbc="T T T"
Ba 3.459 1.914 -1.914
Ba 6.145 -0.773 0.773
Ba 1.914 -1.914 3.459
Ba 1.914 1.914 1.914
Ba -1.914 3.459 1.914
Ba 0.773 6.145 -0.773
Ba -0.773 0.773 6.145
Ba 4.600 4.600 4.600
Bi 5.373 -2.686 4.029
Bi 4.029 5.373 -2.686
Bi 5.373 2.686 1.343
Bi 2.686 1.343 5.373
Bi 1.343 5.373 2.686
Bi -2.686 4.029 5.373
```

---

The following is a GGA-PBE calculation of YErAg2 after structural relaxation, from the Materials Project database.

Values from the calculation:
formation energy: -0.34 eV per atom
calculated volume: 24.04 A^3/atom

Geometry as extended XYZ:
```
16
Lattice="7.272 0.000 0.000 0.000 7.272 0.000 0.000 0.000 7.272" Properties=species:S:1:pos:R:3 pbc="T T T"
Y 0.000 0.000 0.000
Y 0.000 3.636 3.636
Y 3.636 0.000 3.636
Y 3.636 3.636 0.000
Er 0.000 0.000 3.636
Er 0.000 3.636 0.000
Er 3.636 0.000 0.000
Er 3.636 3.636 3.636
Ag 1.818 1.818 1.818
Ag 1.818 1.818 5.454
Ag 1.818 5.454 1.818
Ag 1.818 5.454 5.454
Ag 5.454 1.818 1.818
Ag 5.454 1.818 5.454
Ag 5.454 5.454 1.818
Ag 5.454 5.454 5.454
```

---

The following is a GGA-PBE calculation of Ce2InAg after structural relaxation, from the Materials Project database.

Values from the calculation:
formation energy: -0.18 eV per atom
calculated volume: 27.26 A^3/atom

Geometry as extended XYZ:
```
4
Lattice="3.775 0.000 0.000 0.000 3.775 0.000 0.000 0.000 7.652" Properties=species:S:1:pos:R:3 pbc="T T T"
Ce 0.000 0.000 1.844
Ce 0.000 0.000 5.808
In 1.887 1.887 3.826
Ag 1.887 1.887 0.000
```

---

The following is a GGA-PBE calculation of Ag2P2H2O7 after structural relaxation, from the Materials Project database.

Values from the calculation:
formation energy: -1.82 eV per atom
calculated volume: 12.05 A^3/atom

Geometry as extended XYZ:
```
52
Lattice="0.000 6.232 14.056 3.577 0.000 14.056 3.577 6.232 0.000" Properties=species:S:1:pos:R:3 pbc="T T T"
Ag 1.963 2.894 4.905
Ag 5.190 6.010 11.932
Ag 3.402 6.455 4.905
Ag 3.402 2.894 16.179
Ag 3.752 9.571 11.932
Ag 3.752 6.010 23.207
Ag 1.963 6.455 16.179
Ag 5.190 9.571 23.207
P 3.810 2.878 12.572
P 5.598 5.994 15.539
P 3.810 6.470 8.511
P 1.555 2.878 8.511
P 5.598 9.587 19.600
P 3.344 5.994 19.600
P 1.555 6.470 12.572
P 3.344 9.587 15.539
H 2.683 2.461 10.542
H 2.683 4.674 7.350
H 4.471 5.577 17.570
H 2.683 4.674 13.733
H 4.471 7.790 14.378
H 2.683 6.887 10.542
H 4.471 7.790 20.761
H 4.471 10.004 17.570
O 4.855 3.558 11.699
O 2.683 4.674 0.806
O 4.855 5.790 9.385
O 2.795 2.427 9.342
O 6.643 6.675 16.413
O 3.362 5.672 7.273
O 2.570 2.427 11.741
O 2.003 3.676 7.273
O 4.471 7.790 7.833
O 3.362 3.676 13.811
O 5.151 6.792 14.300
O 4.358 5.543 16.370
O 6.643 8.906 18.727
O 4.584 5.543 18.769
O 2.570 6.921 9.342
O 0.510 3.558 9.385
O 2.795 6.921 11.741
O 2.003 5.672 13.811
O 3.791 8.788 14.300
O 2.683 4.674 20.278
O 5.151 8.788 20.839
O 4.584 10.038 16.370
O 3.791 6.792 20.839
O 0.510 5.790 11.699
O 4.358 10.038 18.769
O 2.299 6.675 18.727
O 4.471 7.790 27.306
O 2.299 8.906 16.413
```

---

The following is a GGA-PBE calculation of DyGaPd after structural relaxation, from the Materials Project database.

Values from the calculation:
formation energy: -0.89 eV per atom
calculated volume: 19.83 A^3/atom

Geometry as extended XYZ:
```
12
Lattice="6.923 0.000 0.000 0.000 4.470 0.000 0.000 0.000 7.691" Properties=species:S:1:pos:R:3 pbc="T T T"
Dy 0.124 1.118 1.526
Dy 3.338 3.353 5.371
Dy 3.586 1.118 2.320
Dy 6.799 3.353 6.165
Ga 1.225 1.118 4.415
Ga 2.237 3.353 0.570
Ga 4.687 1.118 7.121
Ga 5.698 3.353 3.276
Pd 1.523 3.353 3.090
Pd 1.939 1.118 6.936
Pd 4.984 3.353 0.755
Pd 5.400 1.118 4.600
```